(1)
VASP calculation (PBE) on a relaxed Mg14TiMo crystal.

```
Mg14TiMo
1.0
6.294 0.000 0.000
-3.147 5.451 0.000
0.000 0.000 9.972
Mg Ti Mo
14 1 1
Direct
0.000 0.000 0.248 Mg
0.000 0.000 0.752 Mg
0.014 0.507 0.255 Mg
0.014 0.507 0.745 Mg
0.335 0.168 0.500 Mg
0.337 0.169 0.000 Mg
0.493 0.507 0.255 Mg
0.493 0.507 0.745 Mg
0.493 0.986 0.255 Mg
0.493 0.986 0.745 Mg
0.831 0.169 0.000 Mg
0.831 0.663 0.000 Mg
0.832 0.168 0.500 Mg
0.832 0.665 0.500 Mg
0.333 0.667 0.000 Ti
0.333 0.667 0.500 Mo
```

Computed properties:
**Space group**: P-6m2
**Formation energy**: 0.163 eV per atom
**Offset from the most stable computed form**: 0.64 eV/f.u.



(2)
VASP calculation (PBE) on a relaxed PuB6 crystal.

```
PuB6
1.0
4.112 0.000 0.000
0.000 4.112 0.000
0.000 0.000 4.112
Pu B
1 6
Direct
0.000 0.000 0.000 Pu
0.199 0.500 0.500 B
0.500 0.199 0.500 B
0.500 0.500 0.199 B
0.500 0.500 0.801 B
0.500 0.801 0.500 B
0.801 0.500 0.500 B
```

Computed properties:
**Space group**: Pm-3m
**Formation energy**: -0.387 eV per atom



(3)
VASP calculation (PBE) on a relaxed Ba2SrI6 crystal.

```
Ba2SrI6
1.0
-7.766 7.766 7.766
7.766 -7.766 7.766
7.766 7.766 -7.766
Ba Sr I
8 4 24
Direct
0.000 0.189 0.500 Ba
0.000 0.811 0.500 Ba
0.189 0.500 0.000 Ba
0.311 0.311 0.311 Ba
0.500 0.000 0.189 Ba
0.500 0.000 0.811 Ba
0.689 0.689 0.689 Ba
0.811 0.500 0.000 Ba
0.000 0.000 0.000 Sr
0.000 0.500 0.500 Sr
0.500 0.000 0.500 Sr
0.500 0.500 0.000 Sr
0.019 0.582 0.299 I
0.063 0.284 0.082 I
0.082 0.063 0.284 I
0.201 0.784 0.720 I
0.216 0.280 0.799 I
0.220 0.437 0.519 I
0.280 0.799 0.216 I
0.284 0.082 0.063 I
0.299 0.019 0.582 I
0.418 0.701 0.981 I
0.437 0.519 0.220 I
0.481 0.780 0.563 I
0.519 0.220 0.437 I
0.563 0.481 0.780 I
0.582 0.299 0.019 I
0.701 0.981 0.418 I
0.716 0.918 0.937 I
0.720 0.201 0.784 I
0.780 0.563 0.481 I
0.784 0.720 0.201 I
0.799 0.216 0.280 I
0.918 0.937 0.716 I
0.937 0.716 0.918 I
0.981 0.418 0.701 I
```

Computed properties:
**Space group**: Ia-3
**Formation energy**: -1.923 eV per atom
**Offset from the most stable computed form**: 0.76 eV/f.u.



(4)
VASP calculation (PBE) on a relaxed Mg14TiCO16 crystal.

```
Mg14TiCO16
1.0
4.235 0.000 0.000
0.000 8.475 0.000
0.000 0.000 8.765
Mg Ti C O
14 1 1 16
Direct
0.000 0.000 0.000 Mg
0.000 0.000 0.500 Mg
0.000 0.252 0.242 Mg
0.000 0.252 0.758 Mg
0.000 0.748 0.242 Mg
0.000 0.748 0.758 Mg
0.500 0.000 0.247 Mg
0.500 0.000 0.753 Mg
0.500 0.248 0.500 Mg
0.500 0.255 0.000 Mg
0.500 0.500 0.236 Mg
0.500 0.500 0.764 Mg
0.500 0.745 0.000 Mg
0.500 0.752 0.500 Mg
0.000 0.500 0.500 Ti
0.000 0.500 0.000 C
0.000 0.000 0.252 O
0.000 0.000 0.748 O
0.000 0.241 0.000 O
0.000 0.250 0.500 O
0.000 0.500 0.283 O
0.000 0.500 0.717 O
0.000 0.750 0.500 O
0.000 0.759 0.000 O
0.500 0.000 0.000 O
0.500 0.000 0.500 O
0.500 0.252 0.249 O
0.500 0.252 0.751 O
0.500 0.500 0.000 O
0.500 0.500 0.500 O
0.500 0.748 0.249 O
0.500 0.748 0.751 O
```

Computed properties:
**Space group**: Pmmm
**Formation energy**: -2.716 eV per atom
**Offset from the most stable computed form**: 0.00 eV/f.u.



(5)
VASP calculation (PBE) on a relaxed Li7Ti11O24 crystal.

```
Li7Ti11O24
1.0
5.167 -8.963 0.000
5.167 8.963 0.000
-3.436 0.000 4.876
Li Ti O
7 11 24
Direct
0.000 0.000 0.000 Li
0.042 0.712 0.623 Li
0.288 0.958 0.377 Li
0.376 0.376 0.624 Li
0.624 0.624 0.376 Li
0.712 0.042 0.623 Li
0.958 0.288 0.377 Li
0.000 0.000 0.500 Ti
0.000 0.500 0.000 Ti
0.157 0.321 0.999 Ti
0.321 0.157 0.999 Ti
0.334 0.666 0.000 Ti
0.334 0.666 0.500 Ti
0.500 0.000 0.000 Ti
0.666 0.334 0.000 Ti
0.666 0.334 0.500 Ti
0.679 0.843 0.001 Ti
0.843 0.679 0.001 Ti
0.059 0.905 0.246 O
0.095 0.428 0.238 O
0.095 0.941 0.754 O
0.097 0.431 0.791 O
0.237 0.237 0.761 O
0.245 0.729 0.238 O
0.251 0.251 0.216 O
0.271 0.755 0.762 O
0.394 0.580 0.237 O
0.420 0.606 0.763 O
0.428 0.095 0.238 O
0.431 0.097 0.791 O
0.569 0.903 0.209 O
0.572 0.905 0.762 O
0.580 0.394 0.237 O
0.606 0.420 0.763 O
0.729 0.245 0.238 O
0.749 0.749 0.784 O
0.755 0.271 0.762 O
0.763 0.763 0.239 O
0.903 0.569 0.209 O
0.905 0.059 0.246 O
0.905 0.572 0.762 O
0.941 0.095 0.754 O
```

Computed properties:
**Space group**: C2/m
**Formation energy**: -3.227 eV per atom
**Offset from the most stable computed form**: 0.02 eV/f.u.



(6)
VASP calculation (PBE) on a relaxed SrCaZrSnO6 crystal.

```
SrCaZrSnO6
1.0
0.000 4.131 4.131
4.131 0.000 4.131
4.131 4.131 0.000
Sr Ca Zr Sn O
1 1 1 1 6
Direct
0.000 0.000 0.000 Sr
0.500 0.500 0.500 Ca
0.250 0.250 0.250 Zr
0.750 0.750 0.750 Sn
0.502 0.502 0.998 O
0.502 0.998 0.502 O
0.502 0.998 0.998 O
0.998 0.502 0.502 O
0.998 0.502 0.998 O
0.998 0.998 0.502 O
```

Computed properties:
**Space group**: F-43m
**Formation energy**: -3.064 eV per atom